Material: BaNa2
Method: DFT, PBE-GGA
State: relaxed

a = 7.3118 Å, b = 7.3118 Å, c = 11.8574 Å
α = 90.00°, β = 90.00°, γ = 120.00°
Closest atoms and distances in Å follow each position.
Fractional coordinates of all 12 atoms:
Ba 0.3333 0.6667 0.5614  12 Na 4.24-4.29, 4 Ba 4.47
Ba 0.6667 0.3333 0.0614  12 Na 4.24-4.29, 4 Ba 4.47
Ba 0.6667 0.3333 0.4386  12 Na 4.24-4.29, 4 Ba 4.47
Ba 0.3333 0.6667 0.9386  12 Na 4.24-4.29, 4 Ba 4.47
Na 0.6618 0.8309 0.2500  6 Na 3.60-3.71
Na 0.8309 0.1691 0.7500  6 Na 3.60-3.71
Na 0.8309 0.6618 0.7500  6 Na 3.60-3.71
Na 0.1691 0.3382 0.2500  6 Na 3.60-3.71
Na 0.0000 0.0000 0.0000  6 Na 3.66
Na 0.0000 0.0000 0.5000  6 Na 3.66
Na 0.3382 0.1691 0.7500  6 Na 3.60-3.71
Na 0.1691 0.8309 0.2500  6 Na 3.60-3.71

Output
As for the symmetry: P6_3/mmc, No. 194. The formation energy is -0.2 kcal/mol of atoms.

Material: LiAgF2
Method: DFT, PBE-GGA
State: relaxed

a = 5.6766 Å, b = 5.6766 Å, c = 5.6766 Å
α = 130.92°, β = 130.92°, γ = 71.93°
Closest atoms and distances in Å follow each position.
Fractional coordinates of all 8 atoms:
Li 0.2500 0.7500 0.5000  2 F 1.93
Li 0.5000 0.5000 0.0000  2 F 1.93
Ag 0.0000 0.0000 0.0000  6 F 2.39-2.66
Ag 0.7500 0.2500 0.5000  6 F 2.39-2.66
F 0.4602 0.9602 0.5000  1 Li 1.93
F 0.7102 0.7102 0.0000  1 Li 1.93
F 0.0398 0.5398 0.5000  1 Li 1.93
F 0.2898 0.2898 0.0000  1 Li 1.93

Output
As for the symmetry: I4_1/amd, No. 141. The formation energy is -48.2 kcal/mol of atoms. The energy above the most stable polymorph in this dataset is 84 meV/atom.

Material: KCeNbSnO6
Method: DFT, PBE-GGA
State: relaxed

a = 6.0112 Å, b = 6.0112 Å, c = 6.0112 Å
α = 60.00°, β = 60.00°, γ = 60.00°
Closest atoms and distances in Å follow each position.
Fractional coordinates of all 10 atoms:
K 0.2500 0.2500 0.2500  12 O 3.01
Ce 0.0000 0.0000 0.0000  6 O 2.24
Nb 0.5000 0.5000 0.5000  6 O 2.02
Sn 0.7500 0.7500 0.7500  12 O 3.01
O 0.7370 0.2630 0.2630  1 Nb 2.02, 1 Ce 2.24
O 0.2630 0.7370 0.7370  1 Nb 2.02, 1 Ce 2.24
O 0.7370 0.2630 0.7370  1 Nb 2.02, 1 Ce 2.24
O 0.2630 0.7370 0.2630  1 Nb 2.02, 1 Ce 2.24
O 0.7370 0.7370 0.2630  1 Nb 2.02, 1 Ce 2.24
O 0.2630 0.2630 0.7370  1 Nb 2.02, 1 Ce 2.24

Output
As for the symmetry: F-43m, No. 216. The formation energy is -63.1 kcal/mol of atoms. The energy above the most stable polymorph in this dataset is 11 meV/atom.